Entry 1:
Cd2PbO4 r²SCAN optimized geometry; symmetry = No. 55
1.0
5.706 0.000 0.000
0.000 9.975 0.000
0.000 0.000 3.322
Cd Pb O
4 2 8
direct
0.064 0.177 0.000
0.436 0.677 0.000
0.564 0.323 0.000
0.936 0.823 0.000
0.000 0.500 0.500
0.500 0.000 0.500
0.140 0.701 0.500
0.247 0.461 0.000
0.253 0.961 0.000
0.360 0.201 0.500
0.640 0.799 0.500
0.747 0.039 0.000
0.753 0.539 0.000
0.860 0.299 0.500

=====

Entry 2:
Rb6CdO4 r²SCAN optimized geometry; symmetry = No. 186
1.0
9.091 0.000 0.000
-4.546 7.873 0.000
0.000 0.000 6.933
Rb Cd O
12 2 8
direct
0.075 0.537 0.000
0.143 0.287 0.669
0.143 0.857 0.669
0.287 0.143 0.169
0.463 0.537 0.000
0.463 0.925 0.000
0.537 0.075 0.500
0.537 0.463 0.500
0.713 0.857 0.669
0.857 0.143 0.169
0.857 0.713 0.169
0.925 0.463 0.500
0.333 0.667 0.392
0.667 0.333 0.892
0.196 0.393 0.285
0.196 0.804 0.285
0.333 0.667 0.713
0.393 0.196 0.785
0.607 0.804 0.285
0.667 0.333 0.213
0.804 0.196 0.785
0.804 0.607 0.785

=====

Entry 3:
Cd2Ru2O7 r²SCAN optimized geometry; symmetry = No. 141
1.0
-3.591 3.591 5.069
3.591 -3.591 5.069
3.591 3.591 -5.069
Cd Ru O
4 4 14
direct
0.000 0.000 0.000
0.000 0.000 0.500
0.000 0.500 0.000
0.500 0.000 0.500
0.000 0.500 0.500
0.500 0.000 0.000
0.500 0.500 0.000
0.500 0.500 0.500
0.125 0.875 0.250
0.175 0.425 0.750
0.182 0.432 0.365
0.182 0.818 0.750
0.425 0.175 0.250
0.432 0.182 0.865
0.432 0.568 0.250
0.568 0.432 0.750
0.568 0.818 0.135
0.575 0.825 0.750
0.818 0.182 0.250
0.818 0.568 0.635
0.825 0.575 0.250
0.875 0.125 0.750

=====

Entry 4:
CdS2O7 r²SCAN optimized geometry; symmetry = No. 14
1.0
5.184 0.000 0.000
0.000 13.001 0.000
-4.960 0.000 8.257
Cd S O
4 8 28
direct
0.135 0.154 0.331
0.135 0.346 0.831
0.865 0.654 0.169
0.865 0.846 0.669
0.277 0.682 0.588
0.277 0.818 0.088
0.365 0.022 0.692
0.365 0.478 0.192
0.635 0.522 0.808
0.635 0.978 0.308
0.723 0.182 0.912
0.723 0.318 0.412
0.004 0.672 0.433
0.004 0.828 0.933
0.184 0.514 0.257
0.184 0.986 0.757
0.234 0.109 0.584
0.234 0.391 0.084
0.240 0.741 0.704
0.240 0.759 0.204
0.325 0.563 0.652
0.325 0.937 0.152
0.458 0.208 0.918
0.458 0.292 0.418
0.470 0.558 0.131
0.470 0.942 0.631
0.530 0.058 0.369
0.530 0.442 0.869
0.542 0.708 0.582
0.542 0.792 0.082
0.675 0.063 0.848
0.675 0.437 0.348
0.760 0.241 0.796
0.760 0.259 0.296
0.766 0.609 0.916
0.766 0.891 0.416
0.816 0.014 0.243
0.816 0.486 0.743
0.996 0.172 0.067
0.996 0.328 0.567

=====

The records above give, respectively, calculated formation energy values of -1.17, -1.18, -1.21, -1.43 eV per atom.